Entry 1:
DFT (PBE+U) results for crystalline Na3VH11IO13 at its relaxed geometry.

The value obtained for the energy above the most stable polymorph in this dataset is 0.460 eV per atom. As for the formation energy from the elements: -1027 meV per atom.

Structure (CIF):
```
data_Na3VH11IO13
_chemical_formula_sum 'Na6 V2 H22 I2 O26'
_space_group_name_H-M_alt 'P -1'
_space_group_IT_number 2
_cell_length_a 6.970
_cell_length_b 8.660
_cell_length_c 12.761
_cell_angle_alpha 76.83
_cell_angle_beta 86.23
_cell_angle_gamma 85.41
loop_
_space_group_symop_operation_xyz
'x,y,z'
'-x,-y,-z'
loop_
_atom_site_label
_atom_site_fract_x
_atom_site_fract_y
_atom_site_fract_z
Na1 0.034 0.196 0.264
Na2 0.419 0.197 0.396
Na3 0.453 0.814 0.923
V1 0.057 0.179 0.000
H1 0.048 0.559 0.156
H2 0.071 0.161 0.490
H3 0.098 0.044 0.854
H4 0.101 0.613 0.417
H5 0.116 0.130 0.688
H6 0.128 0.645 0.641
H7 0.153 0.502 0.056
H8 0.212 0.609 0.677
H9 0.423 0.577 0.866
H10 0.445 0.003 0.006
H11 0.469 0.429 0.134
I1 0.214 0.840 0.260
O1 0.013 0.077 0.663
O2 0.068 0.162 0.838
O3 0.109 0.819 0.891
O4 0.111 0.236 0.424
O5 0.135 0.618 0.341
O6 0.137 0.591 0.094
O7 0.182 0.997 0.032
O8 0.224 0.311 0.006
O9 0.310 0.319 0.635
O10 0.318 0.036 0.241
O11 0.323 0.795 0.431
O12 0.397 0.916 0.454
O13 0.399 0.358 0.705
```

---

Entry 2:
DFT (PBE+U) results for crystalline V2SO8 at its relaxed geometry.

As for the formation energy from the elements: -2024 meV per atom.

Structure (CIF):
```
data_V2SO8
_chemical_formula_sum 'V8 S4 O32'
_space_group_name_H-M_alt 'P n m a'
_space_group_IT_number 62
_cell_length_a 5.902
_cell_length_b 13.056
_cell_length_c 10.765
_cell_angle_alpha 90.00
_cell_angle_beta 90.00
_cell_angle_gamma 90.00
loop_
_space_group_symop_operation_xyz
'x,y,z'
'-x,-y,-z'
'-x+1/2,-y,z+1/2'
'x+1/2,y,-z+1/2'
'x+1/2,-y+1/2,-z+1/2'
'-x+1/2,y+1/2,z+1/2'
'-x,y+1/2,-z'
'x,-y+1/2,z'
loop_
_atom_site_label
_atom_site_fract_x
_atom_site_fract_y
_atom_site_fract_z
V1 0.200 0.088 0.166
S1 0.028 0.250 0.959
O1 0.031 0.623 0.735
O2 0.079 0.250 0.830
O3 0.161 0.156 0.018
O4 0.196 0.532 0.139
O5 0.198 0.750 0.994
```